Record 1
A geometry-optimized Li4Mn3P4O16 structure. Source: the Materials Project, functional GGA+U.

Cell lengths 7.5922, 7.6793, 11.4408 Å; angles 105.44, 105.07, 101.84 degrees
Last column: nearest neighbours and their distance in Å.
Space group P1 (No. 1)
Unique sites:
Li (0.0000, 0.0000, 0.0000) [1 per cell]  6 O 2.11-2.34
Li (0.0124, 0.2727, 0.7745) [1 per cell]  4 O 2.07-2.18
Li (0.2349, 0.7613, 0.5209) [1 per cell]  5 O 2.04-2.25
Li (0.4676, 0.5129, 0.9911) [1 per cell]  4 O 2.06-2.28
Li (0.4891, 0.5095, 0.5193) [1 per cell]  4 O 2.04-2.15
Li (0.5092, 0.7731, 0.7822) [1 per cell]  4 O 2.04-2.20
Li (0.7431, 0.2520, 0.9969) [1 per cell]  6 O 2.08-2.30
Li (0.7550, 0.2436, 0.5148) [1 per cell]  4 O 1.97-2.17
Mn (0.4666, 0.2268, 0.2258) [1 per cell]  6 O 2.06-2.22
Mn (0.4787, 0.2332, 0.7268) [1 per cell]  6 O 2.01-2.21
Mn (0.4930, 0.7564, 0.2841) [1 per cell]  6 O 2.03-2.22
Mn (0.9686, 0.7346, 0.2287) [1 per cell]  6 O 2.07-2.20
Mn (0.9739, 0.7373, 0.7319) [1 per cell]  6 O 2.00-2.20
Mn (0.9928, 0.2547, 0.2878) [1 per cell]  6 O 2.05-2.26
P (0.1226, 0.3831, 0.0999) [1 per cell]  4 O 1.53-1.59
P (0.1906, 0.4580, 0.6008) [1 per cell]  4 O 1.51-1.59
P (0.2712, 0.0369, 0.4122) [1 per cell]  4 O 1.52-1.60
P (0.3602, 0.1243, 0.9051) [1 per cell]  4 O 1.51-1.60
P (0.6214, 0.8855, 0.0982) [1 per cell]  4 O 1.51-1.60
P (0.6904, 0.9474, 0.5967) [1 per cell]  4 O 1.53-1.60
P (0.7708, 0.5324, 0.4097) [1 per cell]  4 O 1.51-1.59
P (0.8614, 0.6210, 0.9074) [1 per cell]  4 O 1.53-1.60
O (0.9997, 0.2645, 0.9610) [1 per cell]  1 P 1.53
O (0.0318, 0.3079, 0.6044) [1 per cell]  1 P 1.51
O (0.0649, 0.0299, 0.3317) [1 per cell]  1 P 1.58
O (0.1830, 0.4465, 0.4587) [1 per cell]  1 P 1.59
O (0.1865, 0.2407, 0.1692) [1 per cell]  1 P 1.59
O (0.1867, 0.6666, 0.6650) [1 per cell]  1 P 1.59
O (0.1917, 0.9713, 0.8961) [1 per cell]  1 P 1.51
O (0.2637, 0.8270, 0.3350) [1 per cell]  1 P 1.60
O (0.2845, 0.0425, 0.5485) [1 per cell]  1 P 1.52
O (0.2939, 0.5433, 0.1157) [1 per cell]  1 P 1.53
O (0.3029, 0.2641, 0.8309) [1 per cell]  1 P 1.60
O (0.3984, 0.4530, 0.6657) [1 per cell]  1 P 1.57
O (0.4265, 0.1907, 0.4046) [1 per cell]  1 P 1.53
O (0.4869, 0.2495, 0.0444) [1 per cell]  1 P 1.55
O (0.4922, 0.9570, 0.1767) [1 per cell]  1 P 1.58
O (0.4991, 0.0562, 0.8336) [1 per cell]  1 P 1.58
O (0.5102, 0.7670, 0.9593) [1 per cell]  1 P 1.51
O (0.5274, 0.7927, 0.5971) [1 per cell]  1 P 1.53
O (0.5615, 0.5273, 0.3333) [1 per cell]  1 P 1.59
O (0.6758, 0.9426, 0.4568) [1 per cell]  1 P 1.56
O (0.6856, 0.1564, 0.6646) [1 per cell]  1 P 1.60
O (0.6905, 0.7477, 0.1709) [1 per cell]  1 P 1.60
O (0.6971, 0.4574, 0.8981) [1 per cell]  1 P 1.54
O (0.7628, 0.3217, 0.3360) [1 per cell]  1 P 1.59
O (0.7734, 0.5386, 0.5458) [1 per cell]  1 P 1.54
O (0.7898, 0.0533, 0.1134) [1 per cell]  1 P 1.55
O (0.7962, 0.7603, 0.8350) [1 per cell]  1 P 1.60
O (0.8921, 0.9419, 0.6691) [1 per cell]  1 P 1.56
O (0.9279, 0.6780, 0.4000) [1 per cell]  1 P 1.51
O (0.9770, 0.7454, 0.0465) [1 per cell]  1 P 1.53
O (0.9854, 0.4531, 0.1730) [1 per cell]  1 P 1.59
O (0.9888, 0.5528, 0.8267) [1 per cell]  1 P 1.57

Results
Calculated formation energy in eV per atom: -2.56


Record 2
A geometry-optimized LiMn4P3O12 structure. Source: the Materials Project, functional GGA+U.

Cell lengths 8.5663, 13.5796, 10.1599 Å; angles 90.00, 90.00, 90.00 degrees
Last column: nearest neighbours and their distance in Å.
Space group Pccn (No. 56)
Unique sites:
Li (0.2500, 0.2500, 0.2043) [4 per cell]  2 O 2.04
Mn (0.0817, 0.6478, 0.0038) [8 per cell]  4 O 2.04-2.13
Mn (0.0950, 0.5449, 0.3100) [8 per cell]  4 O 2.02-2.14
P (0.2475, 0.0750, 0.0717) [8 per cell]  4 O 1.53-1.59
P (0.2500, 0.7500, 0.2497) [4 per cell]  4 O 1.53-1.58
O (0.1022, 0.7381, 0.1658) [8 per cell]  1 P 1.53
O (0.1301, 0.0971, 0.1842) [8 per cell]  1 P 1.55
O (0.1384, 0.1637, 0.5695) [8 per cell]  1 P 1.55
O (0.1516, 0.5193, 0.1082) [8 per cell]  1 P 1.59
O (0.1649, 0.0585, 0.9400) [8 per cell]  1 P 1.53
O (0.2359, 0.6580, 0.8439) [8 per cell]  1 P 1.58

Results
Calculated formation energy in eV per atom: -2.52
Relative energy among the computed polymorphs in meV/atom: 31


Record 3
A geometry-optimized LiMn6PO12 structure. Source: the Materials Project, functional GGA+U.

Cell lengths 9.4586, 9.4586, 18.8898 Å; angles 90.00, 90.00, 90.00 degrees
Last column: nearest neighbours and their distance in Å.
Space group I4_1/acd (No. 142, origin choice 2)
Unique sites:
Li (0.0000, 0.2500, 0.1250) [8 per cell]  8 O 2.24-2.50
Mn (0.0000, 0.0000, 0.0000) [16 per cell]  4 O 1.90-2.07
Mn (0.0231, 0.0000, 0.2500) [16 per cell]  4 O 1.95-2.00
Mn (0.2345, 0.0155, 0.6250) [16 per cell]  4 O 1.95-1.97
P (0.0000, 0.2500, 0.3750) [8 per cell]  4 O 1.54
O (0.0862, 0.1487, 0.9218) [32 per cell]  1 P 1.54
O (0.1190, 0.1083, 0.6987) [32 per cell]  3 Mn 1.95-2.07
O (0.1467, 0.0796, 0.0556) [32 per cell]  3 Mn 1.90-2.00

Results
Calculated formation energy in eV per atom: -2.19


Q: Which value of calculated formation energy does entry 1 give?
A: -2.56 eV per atom